First-principles (GGA+U) data for a relaxed structure of Li4Mn3O7, as listed in the Materials Project.

Lattice parameters (Å, degrees): 17.3661 17.3661 5.2733 96.75 96.75 9.52
Fractional coordinates of all 28 atoms:
Li1 0.0000 0.0000 0.0000
Li2 0.0690 0.0690 0.3508
Li3 0.2141 0.2141 0.0708
Li4 0.3574 0.3574 0.7854
Li5 0.5000 0.5000 0.5000
Li6 0.6426 0.6426 0.2146
Li7 0.7859 0.7859 0.9292
Li8 0.9310 0.9310 0.6492
Mn1 0.1412 0.1412 0.7238
Mn2 0.2863 0.2863 0.4280
Mn3 0.4321 0.4321 0.1244
Mn4 0.5679 0.5679 0.8756
Mn5 0.7137 0.7137 0.5720
Mn6 0.8588 0.8588 0.2762
O1 0.0391 0.0391 0.6922
O2 0.1024 0.1024 0.0262
O3 0.1814 0.1814 0.4021
O4 0.2460 0.2460 0.7411
O5 0.3256 0.3256 0.1135
O6 0.3923 0.3923 0.4276
O7 0.4603 0.4603 0.8563
O8 0.5397 0.5397 0.1437
O9 0.6077 0.6077 0.5724
O10 0.6744 0.6744 0.8865
O11 0.7540 0.7540 0.2589
O12 0.8186 0.8186 0.5979
O13 0.8976 0.8976 0.9738
O14 0.9609 0.9609 0.3078

Summary:
- Symmetry: C2/m
- ΔE to the lowest computed polymorph: 21 meV per atom
- E_form: -2.123 eV per atom
- Volume: 9.33 Å³ per atom
- DFT total energy: -179.34 eV for the cell shown



First-principles (GGA+U) data for a relaxed structure of Li3Mn2O4, as listed in the Materials Project.

Lattice parameters (Å, degrees): 6.1364 6.1364 6.1364 118.74 118.51 92.39
Fractional coordinates of all 18 atoms:
Li1 0.0000 0.0000 0.0000
Li2 0.3672 0.1172 0.2500
Li3 0.5000 0.0000 0.0000
Li4 0.5000 0.0000 0.5000
Li5 0.5000 0.5000 0.5000
Li6 0.6328 0.8828 0.7500
Mn1 0.0000 0.0000 0.5000
Mn2 0.0000 0.5000 0.0000
Mn3 0.0000 0.5000 0.5000
Mn4 0.5000 0.5000 0.0000
O1 0.2332 0.2270 0.4937
O2 0.2332 0.7395 0.0063
O3 0.2474 0.2452 0.0022
O4 0.2569 0.7548 0.5022
O5 0.7431 0.2452 0.4978
O6 0.7526 0.7548 0.9978
O7 0.7668 0.2605 0.9937
O8 0.7668 0.7730 0.5063

Summary:
- Symmetry: Imma
- ΔE to the lowest computed polymorph: 16 meV per atom
- E_form: -1.888 eV per atom
- Volume: 9.26 Å³ per atom
- DFT total energy: -109.50 eV for the cell shown



First-principles (GGA+U) data for a relaxed structure of Li10Mn23O48, as listed in the Materials Project.

Lattice parameters (Å, degrees): 5.9144 5.9144 28.8763 91.01 91.01 60.22
Fractional coordinates of all 81 atoms:
Li1 0.0000 0.0000 0.0000
Li2 0.0013 0.0013 0.1312
Li3 0.3336 0.3336 0.3316
Li4 0.3375 0.3375 0.4579
Li5 0.3434 0.3434 0.8321
Li6 0.6599 0.6599 0.2919
Li7 0.6720 0.6720 0.1709
Li8 0.6727 0.6727 0.6695
Li9 0.9945 0.9945 0.5042
Li10 0.9980 0.9980 0.6303
Mn1 0.0000 0.0000 0.3114
Mn2 0.1660 0.6657 0.2313
Mn3 0.1667 0.6653 0.7304
Mn4 0.3237 0.8339 0.8971
Mn5 0.3260 0.3260 0.9578
Mn6 0.3307 0.3307 0.6505
Mn7 0.3334 0.3334 0.1509
Mn8 0.3330 0.8380 0.3964
Mn9 0.4939 0.9986 0.5656
Mn10 0.4965 0.4965 0.5653
Mn11 0.5007 0.5007 0.0658
Mn12 0.5008 0.9985 0.0662
Mn13 0.6534 0.6534 0.7956
Mn14 0.6653 0.1667 0.7304
Mn15 0.6657 0.1660 0.2313
Mn16 0.6660 0.6660 0.4810
Mn17 0.6665 0.6665 0.9808
Mn18 0.8339 0.3237 0.8971
Mn19 0.8352 0.8352 0.3968
Mn20 0.8380 0.3330 0.3964
Mn21 0.9971 0.9971 0.8156
Mn22 0.9985 0.5008 0.0662
Mn23 0.9986 0.4939 0.5656
O1 0.0177 0.0177 0.9328
O2 0.0411 0.5071 0.6862
O3 0.0426 0.5092 0.1861
O4 0.1454 0.7037 0.3592
O5 0.1475 0.1475 0.3570
O6 0.1502 0.1502 0.8589
O7 0.1714 0.7057 0.8546
O8 0.1838 0.1838 0.6052
O9 0.1861 0.6276 0.6029
O10 0.1872 0.1872 0.1044
O11 0.1901 0.6313 0.1033
O12 0.2905 0.8225 0.2763
O13 0.2907 0.8384 0.7730
O14 0.3343 0.3343 0.5283
O15 0.3403 0.3403 0.0280
O16 0.3489 0.3489 0.2649
O17 0.3541 0.3541 0.7649
O18 0.3576 0.8134 0.5285
O19 0.3696 0.8105 0.0267
O20 0.4850 0.4850 0.1929
O21 0.4846 0.4846 0.6917
O22 0.4977 0.9541 0.9421
O23 0.5071 0.0411 0.6862
O24 0.5092 0.0426 0.1861
O25 0.5139 0.5139 0.9368
O26 0.5182 0.9743 0.4336
O27 0.5224 0.5224 0.4362
O28 0.6276 0.1861 0.6029
O29 0.6313 0.1901 0.1033
O30 0.6526 0.6526 0.8635
O31 0.6591 0.6591 0.1021
O32 0.6600 0.6600 0.6007
O33 0.6716 0.6716 0.3614
O34 0.7037 0.1454 0.3592
O35 0.7057 0.1714 0.8546
O36 0.8096 0.8096 0.5257
O37 0.8105 0.3696 0.0267
O38 0.8134 0.3576 0.5285
O39 0.8131 0.8131 0.0259
O40 0.8225 0.2905 0.2763
O41 0.8384 0.2907 0.7730
O42 0.8449 0.8449 0.7705
O43 0.8471 0.8471 0.2699
O44 0.9541 0.4977 0.9421
O45 0.9743 0.5182 0.4336
O46 0.9803 0.9803 0.6967
O47 0.9829 0.9829 0.1978
O48 0.9978 0.9978 0.4337

Summary:
- Symmetry: Cm
- E_form: -1.941 eV per atom
- Volume: 10.82 Å³ per atom
- DFT total energy: -553.23 eV for the cell shown



First-principles (GGA+U) data for a relaxed structure of Li4Mn3O7, as listed in the Materials Project.

Lattice parameters (Å, degrees): 5.3103 6.5064 7.7780 87.02 74.61 84.69
Fractional coordinates of all 28 atoms:
Li1 0.0000 0.0000 0.0000
Li2 0.0765 0.8545 0.3538
Li3 0.2178 0.5701 0.0740
Li4 0.3498 0.2750 0.7918
Li5 0.5000 0.0000 0.5000
Li6 0.6502 0.7250 0.2082
Li7 0.7822 0.4299 0.9260
Li8 0.9235 0.1455 0.6462
Mn1 0.1410 0.7161 0.7181
Mn2 0.2861 0.4270 0.4296
Mn3 0.4295 0.1417 0.1419
Mn4 0.5705 0.8583 0.8581
Mn5 0.7139 0.5730 0.5704
Mn6 0.8590 0.2839 0.2819
O1 0.0584 0.4333 0.6731
O2 0.1278 0.2719 0.0578
O3 0.1989 0.1496 0.3841
O4 0.2773 0.9719 0.7598
O5 0.3475 0.8684 0.0986
O6 0.3686 0.7020 0.4717
O7 0.4842 0.5848 0.8162
O8 0.5158 0.4152 0.1838
O9 0.6314 0.2980 0.5283
O10 0.6525 0.1316 0.9014
O11 0.7227 0.0281 0.2402
O12 0.8011 0.8504 0.6159
O13 0.8722 0.7281 0.9422
O14 0.9416 0.5667 0.3269

Summary:
- Symmetry: P-1
- ΔE to the lowest computed polymorph: 0 meV per atom
- E_form: -2.145 eV per atom
- Volume: 9.21 Å³ per atom
- DFT total energy: -179.94 eV for the cell shown



First-principles (GGA+U) data for a relaxed structure of Li5Mn4O8, as listed in the Materials Project.

Lattice parameters (Å, degrees): 5.8115 6.3397 10.3960 81.18 73.82 62.85
Fractional coordinates of all 34 atoms:
Li1 0.0000 0.0000 0.0000
Li2 0.0136 0.0388 0.5042
Li3 0.0480 0.3947 0.5382
Li4 0.2065 0.6590 0.4734
Li5 0.2971 0.7082 0.2655
Li6 0.3913 0.7585 0.0576
Li7 0.5492 0.0232 0.9923
Li8 0.5839 0.3785 0.0266
Li9 0.5980 0.4172 0.5306
Li10 0.7984 0.2096 0.7651
Mn1 0.0473 0.4641 0.0135
Mn2 0.2982 0.2087 0.2655
Mn3 0.2985 0.2088 0.7653
Mn4 0.2986 0.7090 0.7654
Mn5 0.5500 0.9533 0.5173
Mn6 0.7980 0.7089 0.2653
Mn7 0.7985 0.7088 0.7654
Mn8 0.7986 0.2087 0.2654
O1 0.1620 0.5701 0.6540
O2 0.1834 0.5759 0.1262
O3 0.1897 0.0710 0.1472
O4 0.1910 0.0817 0.6426
O5 0.4063 0.3359 0.8881
O6 0.4074 0.3463 0.3837
O7 0.4135 0.8417 0.4047
O8 0.4352 0.8477 0.8769
O9 0.6499 0.0944 0.6387
O10 0.6565 0.0868 0.1474
O11 0.6759 0.5885 0.6496
O12 0.6948 0.5566 0.1314
O13 0.9026 0.8604 0.3994
O14 0.9212 0.8290 0.8813
O15 0.9406 0.3303 0.3834
O16 0.9475 0.3231 0.8920

Summary:
- Symmetry: P1
- ΔE to the lowest computed polymorph: 0 meV per atom
- E_form: -2.075 eV per atom
- Volume: 9.62 Å³ per atom
- DFT total energy: -217.78 eV for the cell shown



First-principles (GGA+U) data for a relaxed structure of Li13Mn2O9, as listed in the Materials Project.

Lattice parameters (Å, degrees): 5.7543 9.8995 9.9376 118.98 105.69 90.67
Fractional coordinates of all 48 atoms:
Li1 0.0000 0.0000 0.0000
Li2 0.0007 0.3623 0.9965
Li3 0.0076 0.0852 0.7978
Li4 0.0780 0.4220 0.7933
Li5 0.0853 0.7449 0.8016
Li6 0.1433 0.8496 0.6403
Li7 0.1680 0.1685 0.6406
Li8 0.2040 0.2585 0.4636
Li9 0.2628 0.9973 0.2668
Li10 0.2672 0.9114 0.4664
Li11 0.2910 0.6329 0.2709
Li12 0.3414 0.3059 0.2803
Li13 0.4158 0.7560 0.1556
Li14 0.4998 0.5002 0.9999
Li15 0.5010 0.8625 0.9967
Li16 0.5077 0.5852 0.7980
Li17 0.5782 0.9221 0.7936
Li18 0.5849 0.2450 0.8014
Li19 0.6434 0.3494 0.6402
Li20 0.6684 0.6686 0.6409
Li21 0.7042 0.7585 0.4635
Li22 0.7626 0.4973 0.2665
Li23 0.7673 0.4112 0.4663
Li24 0.7910 0.1329 0.2713
Li25 0.8415 0.8064 0.2805
Li26 0.9156 0.2556 0.1554
Mn1 0.2133 0.5677 0.4808
Mn2 0.4551 0.1803 0.9978
Mn3 0.7130 0.0675 0.4813
Mn4 0.9550 0.6801 0.9979
O1 0.0982 0.1400 0.2318
O2 0.1053 0.4555 0.2505
O3 0.1406 0.7959 0.2372
O4 0.2553 0.9544 0.8733
O5 0.2587 0.2859 0.8736
O6 0.2721 0.6422 0.9116
O7 0.4215 0.7728 0.5570
O8 0.4350 0.1395 0.5462
O9 0.4576 0.4618 0.5436
O10 0.5987 0.6404 0.2317
O11 0.6052 0.9558 0.2509
O12 0.6405 0.2954 0.2369
O13 0.7549 0.4543 0.8731
O14 0.7591 0.7860 0.8741
O15 0.7721 0.1421 0.9115
O16 0.9215 0.2725 0.5568
O17 0.9353 0.6396 0.5462
O18 0.9579 0.9620 0.5435

Summary:
- Symmetry: P1
- ΔE to the lowest computed polymorph: 0 meV per atom
- E_form: -2.022 eV per atom
- Volume: 9.79 Å³ per atom
- DFT total energy: -253.36 eV for the cell shown